VASP calculation (GGA-PBE) on a relaxed Cu2NiSn3S8 crystal.

Structure (CIF):
```
data_Cu2NiSn3S8
_chemical_formula_sum 'Cu2 Ni1 Sn3 S8'
_symmetry_space_group_name_H-M 'P 1'
_symmetry_Int_Tables_number 1
_symmetry_space_group_name_Hall 'P 1'
_cell_length_a 7.310
_cell_length_b 7.310
_cell_length_c 7.310
_cell_angle_alpha 60.61
_cell_angle_beta 60.61
_cell_angle_gamma 60.61
loop_
_atom_site_label
_atom_site_type_symbol
_atom_site_fract_x
_atom_site_fract_y
_atom_site_fract_z
Cu1 Cu 0.382 0.382 0.382
Cu2 Cu 0.618 0.618 0.618
Ni1 Ni 0.000 0.000 0.000
Sn1 Sn 0.000 0.500 0.000
Sn2 Sn 0.000 0.000 0.500
Sn3 Sn 0.500 0.000 0.000
S1 S 0.764 0.233 0.764
S2 S 0.749 0.749 0.749
S3 S 0.767 0.236 0.236
S4 S 0.236 0.236 0.767
S5 S 0.236 0.767 0.236
S6 S 0.251 0.251 0.251
S7 S 0.233 0.764 0.764
S8 S 0.764 0.764 0.233
```

Results
Its volume is 280.0 Å³ per cell. For the total energy, the calculation gives -63.8 eV per cell. The formation energy is -0.6204 eV/atom.